VASP calculation (PBE with a Hubbard U) on Li3Ni2C4O12 after structural relaxation.

abc: 5.3943 6.4554 8.1982
angles: 86.51 100.84 113.21
Fractional positions:
O1 0.2047 0.4634 0.2994
O2 0.8859 0.8247 0.4471
O3 0.9386 0.1078 0.7695
O4 0.1321 0.9172 0.2398
O5 0.5566 0.3849 0.2720
O6 0.2104 0.3303 0.0573
O7 0.9620 0.6121 0.7371
O8 0.5156 0.5226 0.6915
O9 0.6615 0.1721 0.5482
O10 0.7342 0.9470 0.1999
O11 0.7632 0.6768 0.9377
O12 0.4993 0.0299 0.7813
C1 0.6923 0.1006 0.7009
C2 0.3232 0.3953 0.2095
C3 0.9171 0.8938 0.2982
C4 0.7458 0.6054 0.7942
Li1 0.5258 0.0503 0.3170
Li2 0.1296 0.9525 0.6619
Li3 0.2196 0.4555 0.8252
Ni1 0.9534 0.9986 0.0117
Ni2 0.7210 0.4966 0.5077

Calculated values
offset from the most stable computed form: 29 meV/atom
calculated total energy: -0.48196 Ry/atom
E_form: -1.784 eV per atom
crystal system: triclinic
SG: P1, No. 1